Material: Rb7SmFe6P8O34
Method: DFT, PBE+U
State: optimized geometry

The value obtained for the calculated formation energy is -2.536 eV per atom. The calculation puts the electronic total energy at -379.1 eV for the cell shown.

Cell: 9.4374 10.0382 10.1592 Å, 92.09 93.75 116.32°
With the nearest neighbours (Å) after each atom.
Positions (direct):
1 O 0.6179 0.2744 0.2140  1 P 1.55
2 O 0.9124 0.7319 0.9727  1 P 1.55
3 O 0.4208 0.3706 0.2889  1 P 1.55
4 O 0.8204 0.0857 0.1079  1 P 1.56
5 O 0.9313 0.4438 0.6629  1 P 1.54
6 O 0.9840 0.8426 0.3572  1 P 1.57
7 O 0.7873 0.5829 0.2553  1 P 1.55
8 O 0.1672 0.6914 0.5690  1 P 1.57
9 O 0.6597 0.3893 0.5620  1 P 1.54
10 O 0.7411 0.8030 0.2001  1 P 1.55
11 O 0.5792 0.6294 0.7111  1 P 1.55
12 O 0.2837 0.8243 0.3704  1 P 1.56
13 O 0.2127 0.4171 0.7447  1 P 1.55
14 O 0.3748 0.2212 0.0671  1 P 1.56
15 O 0.1796 0.9143 0.8921  1 P 1.56
16 O 0.9325 0.0054 0.8762  3 Fe 1.96-2.02
17 O 0.1813 0.7797 0.0990  1 P 1.57
18 O 0.3560 0.0965 0.2866  1 P 1.57
19 O 0.0675 0.9946 0.1238  3 Fe 1.96-2.02
20 O 0.6440 0.9035 0.7134  1 P 1.57
21 O 0.3821 0.7256 0.7860  1 P 1.55
22 O 0.3403 0.6107 0.4380  1 P 1.54
23 O 0.0866 0.6331 0.8799  1 P 1.55
24 O 0.2919 0.2834 0.5694  1 P 1.54
25 O 0.0160 0.1574 0.6428  1 P 1.57
26 O 0.8187 0.2203 0.9010  1 P 1.57
27 O 0.8328 0.3086 0.4310  1 P 1.57
28 O 0.9134 0.3669 0.1201  1 P 1.55
29 O 0.2589 0.1970 0.7999  1 P 1.55
30 O 0.0687 0.5562 0.3371  1 P 1.54
31 O 0.7081 0.7166 0.4306  1 P 1.54
32 O 0.7163 0.1757 0.6296  1 P 1.56
33 O 0.6252 0.7788 0.9329  1 P 1.56
34 O 0.0876 0.2681 0.0273  1 P 1.55
35 P 0.0887 0.7679 0.9614  4 O 1.55-1.57
36 P 0.5580 0.7557 0.7851  4 O 1.55-1.57
37 P 0.2131 0.6678 0.4274  4 O 1.54-1.57
38 P 0.8057 0.7364 0.3103  4 O 1.54-1.57
39 P 0.4420 0.2443 0.2149  4 O 1.55-1.57
40 P 0.7869 0.3322 0.5726  4 O 1.54-1.57
41 P 0.9113 0.2321 0.0386  4 O 1.55-1.57
42 P 0.1943 0.2636 0.6897  4 O 1.54-1.57
43 Rb 0.5000 0.0000 0.0000  8 O 2.88-3.17
44 Rb 0.6247 0.9765 0.3734  5 O 2.88-3.10
45 Rb 0.6761 0.4384 0.9039  3 O 2.82-3.15
46 Rb 0.3239 0.5616 0.0961  3 O 2.82-3.15
47 Rb 0.0714 0.2091 0.3421  6 O 2.84-3.16
48 Rb 0.3753 0.0235 0.6266  5 O 2.88-3.10
49 Rb 0.9286 0.7909 0.6579  6 O 2.84-3.16
50 Fe 0.1559 0.1077 0.9654  6 O 2.01-2.16
51 Fe 0.1654 0.9057 0.2451  5 O 1.96-2.06
52 Fe 0.8429 0.4236 0.2770  5 O 1.91-2.02
53 Fe 0.8441 0.8923 0.0346  6 O 2.01-2.16
54 Fe 0.8346 0.0943 0.7549  5 O 1.96-2.06
55 Fe 0.1571 0.5764 0.7230  5 O 1.91-2.02
56 Sm 0.5000 0.5000 0.5000  6 O 2.31-2.36